Entry from the Materials Project database: a relaxed TbMg4Cu crystal (meta-GGA r2SCAN).

Calculated values
ΔH_f (0 K)	-0.118	eV/atom
space-group type	No. 65

Lattice parameters (Å, degrees): 12.0962 12.0962 3.8922 90.00 90.00 112.47
Last column: nearest neighbours and their distance in Å.
Sites, in units of the cell vectors:
1 Mg 0.1367 0.6249 0.5000  1 Cu 2.85, 6 Mg 3.07-3.12
2 Tb 0.3015 0.3015 0.0000  4 Cu 2.92
3 Mg 0.4141 0.0763 0.0000  2 Cu 2.66
4 Mg 0.8348 0.1652 0.0000  11 Mg 3.11-3.32
5 Mg 0.0763 0.4141 0.0000  2 Cu 2.66
6 Mg 0.1652 0.8348 0.0000  11 Mg 3.11-3.32
7 Mg 0.7890 0.9488 0.5000  1 Cu 2.87, 6 Mg 3.06-3.14
8 Mg 0.9488 0.7890 0.5000  1 Cu 2.87, 6 Mg 3.06-3.14
9 Cu 0.5541 0.7641 0.5000  4 Mg 2.66-2.87, 4 Tb 2.92-2.94
10 Mg 0.8633 0.3751 0.5000  1 Cu 2.85, 6 Mg 3.07-3.12
11 Tb 0.3677 0.6323 0.0000  4 Cu 2.94, 2 Mg 3.30
12 Mg 0.6249 0.1367 0.5000  1 Cu 2.85, 6 Mg 3.07-3.12
13 Mg 0.0000 0.0000 0.0000  10 Mg 3.08-3.32
14 Cu 0.4459 0.2359 0.5000  4 Mg 2.66-2.87, 4 Tb 2.92-2.94
15 Mg 0.5000 0.5000 0.5000  4 Cu 3.01, 8 Tb 3.30
16 Cu 0.2359 0.4459 0.5000  4 Mg 2.66-2.87, 4 Tb 2.92-2.94
17 Mg 0.2110 0.0512 0.5000  1 Cu 2.87, 6 Mg 3.06-3.14
18 Tb 0.6323 0.3677 0.0000  4 Cu 2.94, 2 Mg 3.30
19 Cu 0.7641 0.5541 0.5000  4 Mg 2.66-2.87, 4 Tb 2.92-2.94
20 Tb 0.6985 0.6985 0.0000  4 Cu 2.92
21 Mg 0.9237 0.5859 0.0000  2 Cu 2.66
22 Mg 0.3751 0.8633 0.5000  1 Cu 2.85, 6 Mg 3.07-3.12
23 Mg 0.0512 0.2110 0.5000  1 Cu 2.87, 6 Mg 3.06-3.14
24 Mg 0.5859 0.9237 0.0000  2 Cu 2.66

---

Entry from the Materials Project database: a relaxed Tm2MgCu2 crystal (meta-GGA r2SCAN).

Calculated values
ΔH_f (0 K)	-0.263	eV/atom
space-group type	No. 127

Lattice parameters (Å, degrees): 3.6165 7.5176 7.5176 90.00 90.00 90.00
Last column: nearest neighbours and their distance in Å.
Sites, in units of the cell vectors:
1 Tm 0.5000 0.1695 0.6695  6 Cu 2.86
2 Mg 0.0000 0.5000 0.5000  4 Cu 2.99, 8 Tm 3.33
3 Tm 0.5000 0.8305 0.3305  6 Cu 2.86
4 Cu 0.0000 0.1220 0.3780  1 Cu 2.59, 6 Tm 2.86
5 Cu 0.0000 0.6220 0.1220  1 Cu 2.59, 6 Tm 2.86
6 Cu 0.0000 0.3780 0.8780  1 Cu 2.59, 6 Tm 2.86
7 Tm 0.5000 0.3305 0.1695  6 Cu 2.86
8 Tm 0.5000 0.6695 0.8305  6 Cu 2.86
9 Mg 0.0000 0.0000 0.0000  4 Cu 2.99, 8 Tm 3.33
10 Cu 0.0000 0.8780 0.6220  1 Cu 2.59, 6 Tm 2.86

---

Entry from the Materials Project database: a relaxed YMgCu crystal (meta-GGA r2SCAN).

Calculated values
ΔH_f (0 K)	-0.204	eV/atom
space-group type	No. 189

Lattice parameters (Å, degrees): 7.4474 7.4474 3.9856 90.00 90.00 120.00
Last column: nearest neighbours and their distance in Å.
Sites, in units of the cell vectors:
1 Cu 0.3333 0.6667 0.5000  3 Mg 2.89, 6 Y 3.00
2 Y 0.0000 0.5858 0.0000  5 Cu 3.00-3.08, 6 Mg 3.25-3.34
3 Cu 0.0000 0.0000 0.0000  6 Mg 2.68
4 Mg 0.7585 0.7585 0.5000  4 Cu 2.68-2.89
5 Mg 0.2415 0.0000 0.5000  4 Cu 2.68-2.89
6 Y 0.4142 0.4142 0.0000  5 Cu 3.00-3.08, 6 Mg 3.25-3.34
7 Cu 0.6667 0.3333 0.5000  3 Mg 2.89, 6 Y 3.00
8 Y 0.5858 0.0000 0.0000  5 Cu 3.00-3.08, 6 Mg 3.25-3.34
9 Mg 0.0000 0.2415 0.5000  4 Cu 2.68-2.89

---

Entry from the Materials Project database: a relaxed Y2MgCu2 crystal (meta-GGA r2SCAN).

Calculated values
ΔH_f (0 K)	-0.230	eV/atom
space-group type	No. 127

Lattice parameters (Å, degrees): 3.6975 7.6325 7.6325 90.00 90.00 90.00
Last column: nearest neighbours and their distance in Å.
Sites, in units of the cell vectors:
1 Y 0.5000 0.8294 0.6706  6 Cu 2.90-2.92
2 Y 0.5000 0.3294 0.8294  6 Cu 2.90-2.92
3 Cu 0.0000 0.3781 0.1219  1 Cu 2.63, 6 Y 2.90-2.92
4 Mg 0.0000 0.5000 0.5000  4 Cu 3.03, 8 Y 3.38
5 Y 0.5000 0.6706 0.1706  6 Cu 2.90-2.92
6 Cu 0.0000 0.6219 0.8781  1 Cu 2.63, 6 Y 2.90-2.92
7 Cu 0.0000 0.8782 0.3782  1 Cu 2.63, 6 Y 2.90-2.92
8 Y 0.5000 0.1706 0.3294  6 Cu 2.90-2.92
9 Cu 0.0000 0.1218 0.6218  1 Cu 2.63, 6 Y 2.90-2.92
10 Mg 0.0000 0.0000 0.0000  4 Cu 3.03, 8 Y 3.38

---

Entry from the Materials Project database: a relaxed YMg2Cu9 crystal (meta-GGA r2SCAN).

Calculated values
ΔH_f (0 K)	-0.163	eV/atom
space-group type	No. 194

Lattice parameters (Å, degrees): 4.9615 4.9615 16.0413 90.00 90.00 119.99
Last column: nearest neighbours and their distance in Å.
Sites, in units of the cell vectors:
1 Y 0.6667 0.3333 0.2500  18 Cu 2.86-3.21
2 Cu 0.0000 0.0000 0.2500  6 Cu 2.49
3 Cu 0.3355 0.1678 0.6234  7 Cu 2.45-2.50
4 Cu 0.1678 0.8322 0.1233  7 Cu 2.45-2.50
5 Y 0.3333 0.6667 0.7500  18 Cu 2.86-3.21
6 Cu 0.1678 0.8322 0.3767  7 Cu 2.45-2.50
7 Cu 0.1678 0.3356 0.3767  7 Cu 2.45-2.50
8 Cu 0.0000 0.0000 0.7500  6 Cu 2.49
9 Mg 0.3333 0.6667 0.9678  12 Cu 2.87-2.91, 3 Mg 3.04-3.05
10 Cu 0.0000 0.0000 0.0000  6 Cu 2.45
11 Cu 0.3356 0.1678 0.8765  7 Cu 2.45-2.50
12 Cu 0.6644 0.8322 0.3767  7 Cu 2.45-2.50
13 Cu 0.0000 0.0000 0.5000  6 Cu 2.45
14 Mg 0.3333 0.6667 0.5322  12 Cu 2.87-2.91, 3 Mg 3.04
15 Cu 0.3333 0.6667 0.2500  6 Cu 2.48
16 Cu 0.8322 0.1678 0.8765  7 Cu 2.45-2.50
17 Cu 0.8322 0.1678 0.6234  7 Cu 2.45-2.50
18 Cu 0.6644 0.8322 0.1233  7 Cu 2.45-2.50
19 Cu 0.1678 0.3356 0.1234  7 Cu 2.45-2.50
20 Mg 0.6667 0.3333 0.4679  12 Cu 2.87-2.91, 3 Mg 3.04
21 Cu 0.8322 0.6644 0.8765  7 Cu 2.45-2.50
22 Mg 0.6667 0.3333 0.0322  12 Cu 2.87-2.91, 3 Mg 3.04-3.05
23 Cu 0.8322 0.6645 0.6234  7 Cu 2.45-2.50
24 Cu 0.6667 0.3333 0.7500  6 Cu 2.48

---

Entry from the Materials Project database: a relaxed MgZnCu crystal (meta-GGA r2SCAN).

Calculated values
ΔH_f (0 K)	-0.196	eV/atom
space-group type	No. 74

Lattice parameters (Å, degrees): 5.0085 5.0085 5.0085 120.18 119.37 90.39
Last column: nearest neighbours and their distance in Å.
Sites, in units of the cell vectors:
1 Cu 0.5000 0.5000 0.0000  4 Zn 2.50, 2 Cu 2.53
2 Mg 0.1232 0.8732 0.2500  6 Cu 2.92-2.94, 6 Zn 2.94-2.95, 4 Mg 3.04-3.10
3 Zn 0.5000 0.0000 0.0000  2 Zn 2.50, 4 Cu 2.50
4 Cu 0.0000 0.5000 0.5000  4 Zn 2.50, 2 Cu 2.53
5 Zn 0.5000 0.5000 0.5000  2 Zn 2.50, 4 Cu 2.50
6 Mg 0.8768 0.1268 0.7500  6 Cu 2.92-2.94, 6 Zn 2.94-2.95, 4 Mg 3.04-3.10

---

Entry from the Materials Project database: a relaxed MnCu6O8 crystal (meta-GGA r2SCAN).

Calculated values
ΔH_f (0 K)	-0.931	eV/atom
space-group type	No. 225

Lattice parameters (Å, degrees): 6.3880 6.3880 6.3880 60.00 60.00 60.00
Last column: nearest neighbours and their distance in Å.
Sites, in units of the cell vectors:
1 O 0.8604 0.8604 0.4189  3 Cu 1.89
2 Cu 0.5000 0.0000 0.5000  4 O 1.89
3 O 0.8604 0.4189 0.8604  3 Cu 1.89
4 O 0.1396 0.1396 0.1396  3 Cu 1.89
5 O 0.8604 0.8604 0.8604  3 Cu 1.89
6 O 0.1396 0.5811 0.1396  3 Cu 1.89
7 Cu 0.5000 0.0000 0.0000  4 O 1.89
8 Cu 0.0000 0.5000 0.5000  4 O 1.89
9 O 0.4189 0.8604 0.8604  3 Cu 1.89
10 Mn 0.0000 0.0000 0.0000  8 O 2.19
11 Cu 0.0000 0.0000 0.5000  4 O 1.89
12 O 0.1396 0.1396 0.5811  3 Cu 1.89
13 Cu 0.0000 0.5000 0.0000  4 O 1.89
14 Cu 0.5000 0.5000 0.0000  4 O 1.89
15 O 0.5811 0.1396 0.1396  3 Cu 1.89